Record 1
First-principles (PBE) data for a relaxed K2HfF6 crystal, as listed in the Materials Project.

abc: 6.4770 13.3002 13.5481
angles: 64.95 90.00 90.00
Element x y z (fractional)
K 0.5000 0.2166 0.7670
F 0.2203 0.1228 0.6268
F 0.2887 0.7902 0.6161
F 0.5000 0.4947 0.0128
Hf 0.5000 0.6664 0.0024
K 0.0000 0.0963 0.0233
F 0.7126 0.5253 0.3947
K 0.5000 0.9317 0.7405
F 0.7139 0.6032 0.1164
Hf 0.0000 0.0770 0.7428
F 0.7197 0.4645 0.6202
K 0.5000 0.4272 0.2835
Hf 0.5000 0.5004 0.5091
F 0.7228 0.2875 0.1329
F 0.2594 0.9566 0.1225
F 0.2135 0.2288 0.3528
K 0.5000 0.5892 0.7424
F 0.7186 0.4009 0.9030
F 0.5000 0.9866 0.4949
F 0.7797 0.1228 0.6268
K 0.0000 0.6720 0.5030
K 0.0000 0.8177 0.1137
F 0.7865 0.2288 0.3528
F 0.2966 0.7005 0.8812
F 0.7034 0.7005 0.8812
Hf 0.5000 0.3427 0.0106
F 0.5000 0.2012 0.0002
F 0.0000 0.1173 0.2245
F 0.0000 0.7180 0.3077
F 0.5000 0.3441 0.5335
F 0.2296 0.0394 0.8516
K 0.5000 0.0400 0.2076
F 0.2803 0.4645 0.6202
Hf 0.0000 0.2554 0.2438
K 0.0000 0.9602 0.5324
F 0.2814 0.4009 0.9030
F 0.7113 0.7902 0.6161
F 0.5000 0.6683 0.5024
F 0.0000 0.9292 0.7390
F 0.2763 0.8773 0.3879
F 0.5000 0.8124 0.0016
F 0.0000 0.2316 0.7338
Hf 0.5000 0.8390 0.4973
F 0.2874 0.5253 0.3947
F 0.7406 0.9566 0.1225
F 0.0000 0.5993 0.7083
K 0.0000 0.3609 0.5199
F 0.2861 0.6032 0.1164
F 0.2772 0.2875 0.1329
F 0.7237 0.8773 0.3879
F 0.0000 0.4158 0.1799
K 0.5000 0.7955 0.2151
F 0.7704 0.0394 0.8516
K 0.0000 0.5658 0.8948

Properties
**Density**: 3.5 g/cm3
**E (MP2020)**: -0.2288 Ha/atom
**DFT formation energy**: -3.598 eV/atom

---

Record 2
First-principles (PBE) data for a relaxed LiCuO2 crystal, as listed in the Materials Project.

abc: 3.2343 3.2343 5.5685
angles: 64.01 64.01 50.03
Element x y z (fractional)
O 0.4160 0.4160 0.2535
Li 0.0000 0.0000 0.5000
O 0.5840 0.5840 0.7465
Cu 0.0000 0.0000 0.0000

Properties
**Density**: 4.4 g/cm3
**E (MP2020)**: -0.1994 Ha/atom
**DFT formation energy**: -1.451 eV/atom

---

Record 3
First-principles (PBE) data for a relaxed Rb2SbBr6 crystal, as listed in the Materials Project.

abc: 13.5417 13.5417 13.5417
angles: 131.99 131.99 70.25
Element x y z (fractional)
Br 0.1250 0.1250 0.0000
Br 0.0031 0.2525 0.7506
Rb 0.0990 0.1250 0.4740
Br 0.2569 0.4985 0.7584
Rb 0.3750 0.9010 0.0260
Br 0.7475 0.9969 0.2494
Br 0.6193 0.6193 0.0000
Br 0.4931 0.7515 0.7416
Sb 0.0000 0.0000 0.0000
Br 0.5015 0.7431 0.2416
Rb 0.6510 0.1250 0.0260
Br 0.8750 0.3750 0.5000
Br 0.5020 0.2525 0.2494
Br 0.2485 0.9901 0.7416
Sb 0.2500 0.7500 0.5000
Sb 0.7500 0.2500 0.5000
Br 0.5015 0.2599 0.7584
Rb 0.3750 0.3490 0.4740
Br 0.7475 0.4980 0.7506
Br 0.1307 0.6307 0.5000
Br 0.7469 0.9975 0.7494
Sb 0.5000 0.5000 0.0000
Rb 0.8750 0.3490 0.9740
Rb 0.6510 0.6250 0.5260
Br 0.7401 0.4985 0.2416
Br 0.2485 0.5069 0.2584
Br 0.0025 0.2531 0.2506
Br 0.2480 0.9975 0.2506
Br 0.0099 0.7515 0.2584
Rb 0.0990 0.6250 0.9740
Br 0.3693 0.8693 0.5000
Br 0.8750 0.8750 0.0000
Rb 0.8750 0.9010 0.5260
Br 0.0025 0.7520 0.7494
Br 0.6250 0.1250 0.5000
Br 0.3807 0.3807 0.0000

Properties
**Density**: 3.8 g/cm3
**E (MP2020)**: -0.1189 Ha/atom
**DFT formation energy**: -1.466 eV/atom

---

Record 4
First-principles (PBE) data for a relaxed La2P3H7O11 crystal, as listed in the Materials Project.

abc: 8.1495 8.8380 9.6380
angles: 63.02 67.33 72.11
Element x y z (fractional)
H 0.3276 0.8862 0.5256
H 0.5250 0.9214 0.4307
P 0.1662 0.5305 0.7405
H 0.4226 0.1354 0.8683
O 0.5060 0.3283 0.9205
P 0.9838 0.8275 0.3449
H 0.7160 0.8274 0.8534
O 0.5210 0.2205 0.2094
O 0.9606 0.9624 0.1780
La 0.8375 0.2414 0.9976
H 0.2840 0.1726 0.1466
O 0.3351 0.4785 0.6138
P 0.8338 0.4695 0.2595
H 0.4750 0.0786 0.5693
H 0.3720 0.0432 0.7931
O 0.2722 0.4516 0.1330
O 0.1319 0.6780 0.3133
O 0.7801 0.3484 0.2145
O 0.3584 0.0433 0.8974
O 0.4940 0.6717 0.0795
O 0.4790 0.7795 0.7906
La 0.1625 0.7586 0.0024
O 0.1939 0.2256 0.5292
O 0.7278 0.5484 0.8670
La 0.4026 0.4418 0.3522
H 0.0329 0.6269 0.6613
O 0.9096 0.6252 0.1159
O 0.0904 0.3748 0.8841
H 0.0526 0.9077 0.4043
O 0.8681 0.3220 0.6867
La 0.5974 0.5582 0.6478
P 0.6059 0.7069 0.9009
P 0.3941 0.2931 0.0991
P 0.0162 0.1725 0.6551
O 0.8061 0.7744 0.4708
H 0.6280 0.9568 0.2069
O 0.6416 0.9567 0.1026
O 0.4428 0.8431 0.4623
H 0.9671 0.3731 0.3387
O 0.2199 0.6516 0.7855
O 0.5572 0.1569 0.5377
H 0.6724 0.1138 0.4744
O 0.6649 0.5215 0.3862
O 0.0394 0.0376 0.8220
H 0.9474 0.0923 0.5957
H 0.5774 0.8646 0.1317

Properties
**Density**: 3.3 g/cm3
**E (MP2020)**: -0.2497 Ha/atom
**Distance to the lowest polymorph of the same formula**: 0.53 kcal/mol of atoms
**DFT formation energy**: -2.261 eV/atom

---

Record 5
First-principles (PBE) data for a relaxed Sm3Co4Sn13 crystal, as listed in the Materials Project.

abc: 9.6022 9.6022 9.6022
angles: 90.00 90.00 90.00
Element x y z (fractional)
Sn 0.1967 0.6574 0.5000
Sn 0.8033 0.3426 0.5000
Sn 0.3426 0.5000 0.8033
Sn 0.1574 0.6967 0.0000
Co 0.7500 0.7500 0.2500
Sn 0.6574 0.5000 0.1967
Sn 0.0000 0.8426 0.3033
Sn 0.0000 0.0000 0.0000
Co 0.2500 0.2500 0.2500
Sn 0.0000 0.1574 0.3033
Sn 0.6967 0.0000 0.1574
Sn 0.0000 0.8426 0.6967
Sn 0.5000 0.1967 0.6574
Sn 0.5000 0.1967 0.3426
Co 0.2500 0.7500 0.2500
Co 0.7500 0.2500 0.2500
Sn 0.3033 0.0000 0.8426
Sm 0.5000 0.2500 0.0000
Sm 0.0000 0.5000 0.2500
Sn 0.5000 0.5000 0.5000
Sn 0.6967 0.0000 0.8426
Sn 0.1574 0.3033 0.0000
Sn 0.8033 0.6574 0.5000
Sm 0.0000 0.5000 0.7500
Sn 0.5000 0.8033 0.6574
Co 0.2500 0.7500 0.7500
Sn 0.0000 0.1574 0.6967
Co 0.7500 0.7500 0.7500
Co 0.7500 0.2500 0.7500
Sn 0.3033 0.0000 0.1574
Sn 0.6574 0.5000 0.8033
Sn 0.1967 0.3426 0.5000
Sn 0.8426 0.3033 0.0000
Co 0.2500 0.2500 0.7500
Sm 0.5000 0.7500 0.0000
Sm 0.7500 0.0000 0.5000
Sm 0.2500 0.0000 0.5000
Sn 0.8426 0.6967 0.0000
Sn 0.5000 0.8033 0.3426
Sn 0.3426 0.5000 0.1967

Properties
**Density**: 8.4 g/cm3
**DFT formation energy**: -0.358 eV/atom

---

Record 6
First-principles (PBE) data for a relaxed Na4Sn4H10O11 crystal, as listed in the Materials Project.

abc: 8.7583 12.8109 14.8341
angles: 77.62 90.00 90.00
Element x y z (fractional)
O 0.5839 0.6258 0.9471
O 0.0613 0.3688 0.1797
Sn 0.8216 0.3590 0.1553
O 0.8618 0.4024 0.0112
O 0.8050 0.7715 0.0087
O 0.1950 0.2285 0.9913
Sn 0.4244 0.4662 0.3184
H 0.2948 0.0332 0.9085
Na 0.1463 0.4046 0.0089
O 0.1382 0.5976 0.9888
O 0.8254 0.0252 0.3125
Sn 0.9244 0.0338 0.1816
H 0.2343 0.4281 0.1873
O 0.0211 0.2716 0.5528
O 0.6382 0.9024 0.5112
Sn 0.0756 0.9662 0.8184
H 0.0224 0.1625 0.7452
O 0.1014 0.3293 0.7238
H 0.5224 0.3375 0.7548
O 0.6014 0.1707 0.7762
Sn 0.3216 0.1410 0.3447
O 0.5613 0.1312 0.3203
H 0.7948 0.4668 0.5915
H 0.7908 0.0405 0.6803
Na 0.3537 0.9046 0.5089
H 0.6358 0.8410 0.4793
Sn 0.5981 0.7948 0.9297
O 0.2366 0.5597 0.3445
O 0.7366 0.9403 0.1555
Na 0.1883 0.7420 0.3414
H 0.4190 0.8138 0.7349
O 0.4789 0.7716 0.0528
H 0.0810 0.3138 0.2349
Na 0.3117 0.2420 0.8414
O 0.4161 0.3742 0.0529
Na 0.6463 0.0954 0.4911
O 0.7634 0.4403 0.6555
O 0.6531 0.7614 0.3955
H 0.3771 0.6741 0.5217
O 0.3618 0.0976 0.4888
H 0.2052 0.5332 0.4085
Na 0.9007 0.9026 0.4416
Sn 0.4019 0.2052 0.0703
Na 0.8117 0.2580 0.6586
O 0.4499 0.3974 0.7457
O 0.0501 0.8974 0.2457
O 0.3050 0.7285 0.4913
O 0.0839 0.8742 0.5529
O 0.5501 0.6026 0.2543
O 0.4387 0.8688 0.6797
H 0.2908 0.4595 0.8197
H 0.7657 0.5719 0.8127
Na 0.8537 0.5954 0.9911
Na 0.0993 0.0974 0.5584
Sn 0.3122 0.8696 0.0861
Sn 0.6878 0.1304 0.9139
Sn 0.1784 0.6410 0.8447
H 0.9465 0.2298 0.8877
H 0.4049 0.3991 0.1113
Na 0.5909 0.9268 0.2903
O 0.9387 0.6312 0.8203
H 0.9776 0.8375 0.2548
Na 0.4091 0.0732 0.7097
H 0.1465 0.3831 0.7543
O 0.8986 0.6707 0.2762
H 0.3642 0.1590 0.5207
H 0.9190 0.6862 0.7651
Na 0.6883 0.7580 0.1586
O 0.8469 0.2614 0.8955
H 0.0951 0.8991 0.6113
O 0.8089 0.5248 0.1560
O 0.9161 0.1258 0.4471
Na 0.4007 0.5974 0.0584
Sn 0.5756 0.5338 0.6816
H 0.4465 0.2702 0.6123
H 0.4776 0.6625 0.2452
H 0.1358 0.6590 0.0207
O 0.6746 0.5252 0.8125
H 0.5810 0.1862 0.2651
O 0.3469 0.2386 0.6045
H 0.0535 0.7702 0.1123
H 0.7092 0.5405 0.1803
O 0.3089 0.9752 0.3440
H 0.2657 0.9281 0.6873
O 0.6911 0.0248 0.6560
Sn 0.0981 0.7052 0.5703
H 0.3535 0.8831 0.2543
Sn 0.1878 0.3696 0.5861
O 0.6950 0.2715 0.5087
H 0.1229 0.1741 0.0217
O 0.2634 0.0597 0.8445
Sn 0.9019 0.2948 0.4297
H 0.9049 0.1009 0.3887
Na 0.0909 0.5732 0.2097
Na 0.9091 0.4268 0.7903
Sn 0.6784 0.8590 0.6553
O 0.1911 0.4752 0.8440
O 0.1746 0.9748 0.6875
H 0.5535 0.7298 0.3877
O 0.5211 0.2284 0.9472
H 0.7343 0.0719 0.3127
H 0.8535 0.6169 0.2457
H 0.8642 0.3410 0.9793
H 0.5951 0.6009 0.8887
O 0.1531 0.7386 0.1045
O 0.9499 0.1026 0.7543
H 0.2092 0.9595 0.3197
Na 0.5993 0.4026 0.9416
H 0.7052 0.9668 0.0915
O 0.3986 0.8293 0.2238
H 0.8771 0.8259 0.9783
H 0.6229 0.3259 0.4783
H 0.6465 0.1169 0.7457
O 0.9789 0.7284 0.4472
Sn 0.8122 0.6304 0.4139
O 0.3254 0.4748 0.1875

Properties
**Density**: 3.1 g/cm3
**E (MP2020)**: -0.1943 Ha/atom
**DFT formation energy**: -1.504 eV/atom